TmB3O6 | the Materials Project database | GGA-PBE | optimized geometry; SG = Pnma, No. 62; electronic total energy = -1313.8 eV/cell; magnetization = 0.00 μB per formula unit
1.0
-0.652 -6.623 -3.231
4.494 -5.337 10.032
-14.718 -1.404 5.846
Tm B O
16 48 96
Direct
0.750 0.765 0.629 Tm
0.750 0.010 0.121 Tm
0.750 0.436 0.327 Tm
0.750 0.490 0.621 Tm
0.250 0.265 0.871 Tm
0.750 0.064 0.827 Tm
0.250 0.564 0.673 Tm
0.250 0.235 0.371 Tm
0.250 0.936 0.173 Tm
0.250 0.990 0.879 Tm
0.250 0.510 0.379 Tm
0.750 0.412 0.951 Tm
0.750 0.088 0.451 Tm
0.250 0.912 0.549 Tm
0.250 0.588 0.049 Tm
0.750 0.735 0.129 Tm
0.569 0.128 0.259 B
0.059 0.823 0.033 B
0.930 0.686 0.782 B
0.569 0.372 0.759 B
0.931 0.372 0.759 B
0.423 0.142 0.110 B
0.577 0.642 0.390 B
0.427 0.346 0.056 B
0.559 0.323 0.467 B
0.923 0.858 0.890 B
0.578 0.483 0.152 B
0.922 0.017 0.652 B
0.422 0.517 0.848 B
0.069 0.628 0.241 B
0.070 0.186 0.718 B
0.941 0.323 0.467 B
0.573 0.846 0.444 B
0.070 0.314 0.218 B
0.430 0.186 0.718 B
0.078 0.517 0.848 B
0.927 0.846 0.444 B
0.931 0.128 0.259 B
0.923 0.642 0.390 B
0.441 0.823 0.033 B
0.573 0.654 0.944 B
0.431 0.872 0.741 B
0.078 0.983 0.348 B
0.077 0.358 0.610 B
0.559 0.177 0.967 B
0.427 0.154 0.556 B
0.927 0.654 0.944 B
0.423 0.358 0.610 B
0.570 0.686 0.782 B
0.577 0.858 0.890 B
0.570 0.814 0.282 B
0.059 0.677 0.533 B
0.077 0.142 0.110 B
0.073 0.346 0.056 B
0.422 0.983 0.348 B
0.578 0.017 0.652 B
0.441 0.677 0.533 B
0.431 0.628 0.241 B
0.430 0.314 0.218 B
0.930 0.814 0.282 B
0.941 0.177 0.967 B
0.073 0.154 0.556 B
0.922 0.483 0.152 B
0.069 0.872 0.741 B
0.025 0.210 0.477 O
0.061 0.931 0.432 O
0.975 0.710 0.023 O
0.561 0.069 0.568 O
0.566 0.121 0.048 O
0.250 0.639 0.276 O
0.568 0.064 0.337 O
0.750 0.643 0.755 O
0.439 0.569 0.932 O
0.750 0.600 0.952 O
0.544 0.880 0.097 O
0.475 0.210 0.477 O
0.750 0.139 0.224 O
0.750 0.603 0.422 O
0.034 0.076 0.186 O
0.434 0.879 0.952 O
0.433 0.601 0.782 O
0.568 0.436 0.837 O
0.750 0.304 0.432 O
0.567 0.399 0.218 O
0.939 0.431 0.068 O
0.250 0.804 0.068 O
0.567 0.101 0.718 O
0.926 0.765 0.371 O
0.074 0.265 0.129 O
0.250 0.397 0.578 O
0.750 0.543 0.158 O
0.523 0.770 0.722 O
0.534 0.924 0.814 O
0.250 0.357 0.245 O
0.750 0.897 0.922 O
0.544 0.620 0.597 O
0.966 0.924 0.814 O
0.574 0.735 0.871 O
0.250 0.043 0.342 O
0.066 0.621 0.452 O
0.939 0.069 0.568 O
0.466 0.076 0.186 O
0.066 0.879 0.952 O
0.426 0.235 0.629 O
0.456 0.380 0.403 O
0.566 0.379 0.548 O
0.956 0.880 0.097 O
0.061 0.569 0.932 O
0.934 0.121 0.048 O
0.023 0.270 0.778 O
0.977 0.730 0.222 O
0.750 0.857 0.255 O
0.067 0.601 0.782 O
0.750 0.900 0.452 O
0.250 0.100 0.548 O
0.250 0.400 0.048 O
0.034 0.424 0.686 O
0.977 0.770 0.722 O
0.434 0.621 0.452 O
0.432 0.936 0.663 O
0.933 0.399 0.218 O
0.250 0.696 0.568 O
0.475 0.290 0.977 O
0.023 0.230 0.278 O
0.934 0.379 0.548 O
0.561 0.431 0.068 O
0.477 0.230 0.278 O
0.250 0.143 0.745 O
0.250 0.103 0.078 O
0.025 0.290 0.977 O
0.068 0.564 0.163 O
0.439 0.931 0.432 O
0.044 0.120 0.903 O
0.466 0.424 0.686 O
0.750 0.196 0.932 O
0.525 0.790 0.523 O
0.426 0.265 0.129 O
0.975 0.790 0.523 O
0.534 0.576 0.314 O
0.574 0.765 0.371 O
0.433 0.899 0.282 O
0.068 0.936 0.663 O
0.250 0.861 0.776 O
0.456 0.120 0.903 O
0.750 0.361 0.724 O
0.750 0.957 0.658 O
0.250 0.457 0.842 O
0.044 0.380 0.403 O
0.074 0.235 0.629 O
0.926 0.735 0.871 O
0.956 0.620 0.597 O
0.432 0.564 0.163 O
0.933 0.101 0.718 O
0.477 0.270 0.778 O
0.067 0.899 0.282 O
0.966 0.576 0.314 O
0.525 0.710 0.023 O
0.932 0.064 0.337 O
0.523 0.730 0.222 O
0.932 0.436 0.837 O

=====

Cd2As3Br | the Materials Project database | GGA-PBE | optimized geometry; SG = C2/c, No. 15; electronic total energy = -38.3 eV/cell
1.0
-2.524 -1.159 -5.781
6.156 0.205 -1.787
1.323 -8.074 -0.119
Cd As Br
4 6 2
Direct
0.388 0.087 0.208 Cd
0.913 0.612 0.292 Cd
0.087 0.388 0.708 Cd
0.612 0.913 0.792 Cd
0.174 0.080 0.528 As
0.920 0.826 0.972 As
0.826 0.920 0.472 As
0.791 0.209 0.250 As
0.209 0.791 0.750 As
0.080 0.174 0.028 As
0.362 0.638 0.250 Br
0.638 0.362 0.750 Br

=====

| no. | formation energy from the elements (kcal/mol of atoms) |
| --- | --- |
| 1 | -73.87 |
| 2 | -8.54 |